Li2TiV5O12 | PBE with a Hubbard U | relaxed

Summary:
E_form   -2579 meV/atom
Offset from the most stable computed form   0.0 meV/atom
Crystal system   triclinic
Calculated volume   11.8 A^3/atom

Lattice parameters (Å, degrees): 5.7246 6.8389 13.1221 99.56 96.79 108.17
With the nearest neighbours (Å) after each atom.
Fractional positions:
Li1 0.4072 0.3084 0.1554  4 O 1.97-2.07
Li2 0.8919 0.3030 0.6527  4 O 1.95-2.10
Li3 0.0836 0.6952 0.3544  4 O 2.08-2.13
Li4 0.6003 0.6875 0.8475  4 O 2.00-2.10
Ti1 0.7169 0.9245 0.4611  5 O 1.86-2.04
Ti2 0.2136 0.9238 0.9633  6 O 1.87-2.08
V1 0.4995 0.1662 0.8166  4 O 1.78-1.94
V2 0.9065 0.6295 0.0864  4 O 1.78-1.96
V3 0.5757 0.3765 0.4187  3 O 1.78-1.91
V4 0.0988 0.3601 0.9157  4 O 1.92-2.01
V5 0.9920 0.8388 0.6822  5 O 1.93-2.16
V6 0.7903 0.0729 0.0379  6 O 1.90-2.00
V7 0.3008 0.0921 0.5426  6 O 2.01-2.13
V8 0.9731 0.1627 0.3155  3 O 1.76-1.88
V9 0.3817 0.6591 0.6008  4 O 1.77-1.93
V10 0.4933 0.8198 0.1746  4 O 1.91-2.02
O1 0.0560 0.9978 0.4056  2 V 1.88-2.02, 1 Ti 2.10
O2 0.5445 0.9730 0.9040  2 V 1.94-1.99, 1 Ti 2.08, 1 Li 2.10
O3 0.3669 0.8061 0.4882  2 V 1.93-2.13, 1 Ti 2.01, 1 Li 2.10
O4 0.8499 0.8031 0.9874  2 V 1.96-2.00, 1 Li 2.06, 1 Ti 2.07
O5 0.8870 0.0259 0.1731  2 V 1.88-1.90
O6 0.3775 0.0045 0.6775  2 V 1.89-2.01
O7 0.8157 0.3500 0.0122  2 V 1.88-1.94
O8 0.3445 0.3891 0.5210  3 V 1.90-2.04
O9 0.1400 0.1833 0.0194  2 V 1.97-2.00, 1 Ti 1.99, 1 Li 2.07
O10 0.6477 0.1982 0.5067  2 V 1.91-2.03, 1 Ti 2.04, 1 Li 2.10
O11 0.4779 0.0409 0.0941  2 V 1.98-2.00, 1 Ti 2.01, 1 Li 2.05
O12 0.9580 0.0392 0.5941  1 Ti 1.97, 2 V 1.97-2.10, 1 Li 2.01
O13 0.8761 0.3814 0.3474  1 V 1.76
O14 0.3985 0.3877 0.8456  1 V 1.78
O15 0.1424 0.6901 0.1991  1 V 1.78
O16 0.6419 0.6985 0.6994  1 V 1.77
O17 0.3363 0.2992 0.3060  1 V 1.78
O18 0.8293 0.2856 0.7992  2 V 1.87-1.92, 1 Li 2.01
O19 0.6102 0.5890 0.1399  2 V 1.87-1.91, 1 Li 1.97
O20 0.0842 0.5907 0.6462  2 V 1.82-1.93, 1 Li 1.95
O21 0.7408 0.6622 0.4672  1 V 1.85, 1 Ti 1.86
O22 0.2031 0.6577 0.9900  1 Ti 1.89, 1 V 1.97
O23 0.6284 0.9569 0.3210  1 Ti 1.92, 2 V 1.94-2.05
O24 0.1183 0.9700 0.8306  1 Ti 1.87, 1 V 1.95

LiTi2VO6 | PBE with a Hubbard U | relaxed

Summary:
E_form   -3065 meV/atom
Offset from the most stable computed form   0.0 meV/atom
Crystal system   monoclinic
Calculated volume   12.2 A^3/atom

Lattice parameters (Å, degrees): 8.9705 5.6331 9.9453 76.28 90.00 90.00
With the nearest neighbours (Å) after each atom.
Fractional positions:
Li1 0.9912 0.0369 0.2404  4 O 2.11-2.20
Li2 0.5088 0.5369 0.2404  4 O 2.11-2.20
Li3 0.4912 0.4631 0.7596  4 O 2.11-2.20
Li4 0.0088 0.9631 0.7596  4 O 2.11-2.20
Ti1 0.6576 0.1717 0.0544  4 O 1.78-1.86
Ti2 0.8424 0.6717 0.0544  4 O 1.78-1.86
Ti3 0.8445 0.2643 0.4519  4 O 1.77-1.86
Ti4 0.6555 0.7643 0.4519  4 O 1.77-1.86
Ti5 0.3445 0.2357 0.5481  4 O 1.77-1.86
Ti6 0.1555 0.7357 0.5481  4 O 1.77-1.86
Ti7 0.1576 0.3283 0.9456  4 O 1.78-1.86
Ti8 0.3424 0.8283 0.9456  4 O 1.78-1.86
V1 0.3353 0.0472 0.2486  6 O 1.96-2.16
V2 0.1647 0.5472 0.2486  6 O 1.96-2.16
V3 0.8353 0.4528 0.7514  6 O 1.96-2.16
V4 0.6647 0.9528 0.7514  6 O 1.96-2.16
O1 0.8128 0.3401 0.1127  2 Ti 1.84-1.85
O2 0.4905 0.2515 0.1305  1 Ti 1.78
O3 0.1649 0.2595 0.1378  1 Ti 1.86
O4 0.6872 0.8401 0.1127  2 Ti 1.84-1.85
O5 0.0095 0.7515 0.1305  1 Ti 1.78
O6 0.3351 0.7595 0.1378  1 Ti 1.86
O7 0.8019 0.9950 0.3844  2 Ti 1.84-1.86
O8 0.3332 0.3295 0.3558  1 Ti 1.86, 1 V 2.07
O9 0.0221 0.3568 0.3805  1 Ti 1.77, 1 V 1.96
O10 0.6981 0.4950 0.3844  2 Ti 1.84-1.86
O11 0.1668 0.8295 0.3558  1 Ti 1.86, 1 V 2.07
O12 0.4779 0.8568 0.3805  1 Ti 1.77, 1 V 1.96
O13 0.5221 0.1432 0.6195  1 Ti 1.77, 1 V 1.96
O14 0.8332 0.1705 0.6442  1 Ti 1.86, 1 V 2.07
O15 0.3019 0.5050 0.6156  2 Ti 1.84-1.86
O16 0.9779 0.6432 0.6195  1 Ti 1.77, 1 V 1.96
O17 0.6668 0.6705 0.6442  1 Ti 1.86, 1 V 2.07
O18 0.1981 0.0050 0.6156  2 Ti 1.84-1.86
O19 0.6649 0.2405 0.8622  1 Ti 1.86
O20 0.9905 0.2485 0.8695  1 Ti 1.78
O21 0.3128 0.1599 0.8873  2 Ti 1.84-1.85
O22 0.8351 0.7405 0.8622  1 Ti 1.86
O23 0.5095 0.7485 0.8695  1 Ti 1.78
O24 0.1872 0.6599 0.8873  2 Ti 1.84-1.85

Li2TiV3O8 | PBE with a Hubbard U | relaxed

Summary:
E_form   -2722 meV/atom
Offset from the most stable computed form   3.1 meV/atom
Crystal system   monoclinic
Calculated volume   10.9 A^3/atom

Lattice parameters (Å, degrees): 5.9838 8.5077 5.9831 89.99 90.01 90.50
With the nearest neighbours (Å) after each atom.
Fractional positions:
Li1 0.2512 0.1229 0.0017  4 O 1.99-2.04
Li2 0.7515 0.6252 0.4978  4 O 2.01-2.04
Li3 0.7487 0.8771 0.0018  4 O 1.99-2.04
Li4 0.2485 0.3748 0.4979  4 O 2.01-2.04
Ti1 0.0000 0.5001 0.9952  6 O 1.95-2.02
Ti2 0.5001 0.9999 0.5037  6 O 1.96-2.01
V1 0.0000 0.0000 0.4958  6 O 2.05
V2 0.2501 0.7511 0.7502  6 O 2.04-2.07
V3 0.7498 0.2490 0.7502  6 O 2.04-2.07
V4 0.5000 0.5000 0.0074  6 O 2.02-2.10
V5 0.7477 0.2484 0.2478  6 O 1.89-2.02
V6 0.2523 0.7516 0.2478  6 O 1.89-2.02
O1 0.5335 0.2548 0.0160  3 V 1.89-2.10, 1 Li 2.02
O2 0.0312 0.7603 0.4835  3 V 1.94-2.07, 1 Li 2.02
O3 0.4664 0.7452 0.0158  3 V 1.89-2.10, 1 Li 2.02
O4 0.9689 0.2396 0.4834  3 V 1.94-2.07, 1 Li 2.02
O5 0.7547 0.4852 0.2274  1 Li 2.01, 2 V 2.02, 1 Ti 2.02
O6 0.2566 0.9902 0.7226  1 Ti 1.96, 1 Li 2.02, 2 V 2.04-2.05
O7 0.7542 0.4913 0.7806  1 Ti 1.95, 1 Li 2.04, 2 V 2.04-2.07
O8 0.2581 0.9850 0.2713  2 V 1.99-2.05, 1 Li 1.99, 1 Ti 2.01
O9 0.9799 0.2658 0.0043  1 Ti 2.00, 2 V 2.02-2.05, 1 Li 2.04
O10 0.4795 0.7654 0.4957  1 Ti 2.00, 2 V 2.01-2.05, 1 Li 2.03
O11 0.0199 0.7342 0.0045  1 Ti 2.00, 2 V 2.02-2.06, 1 Li 2.04
O12 0.5207 0.2346 0.4959  1 Ti 2.00, 2 V 2.01-2.05, 1 Li 2.03
O13 0.2454 0.5149 0.2274  1 Li 2.01, 2 V 2.02, 1 Ti 2.02
O14 0.7435 0.0097 0.7226  1 Ti 1.96, 1 Li 2.02, 2 V 2.04-2.05
O15 0.2457 0.5088 0.7806  1 Ti 1.95, 1 Li 2.04, 2 V 2.04-2.07
O16 0.7417 0.0150 0.2713  2 V 1.99-2.05, 1 Li 1.99, 1 Ti 2.01

Li4Ti3V3W2O16 | PBE with a Hubbard U | relaxed

Summary:
E_form   -2670 meV/atom
Crystal system   monoclinic
Calculated volume   11.0 A^3/atom

Lattice parameters (Å, degrees): 6.0126 6.0126 9.8763 88.66 88.66 59.81
With the nearest neighbours (Å) after each atom.
Fractional positions:
Li1 0.6652 0.6652 0.1011  4 O 1.93-2.05
Li2 0.9962 0.9962 0.0115  3 O 1.85-2.01
Li3 0.0027 0.0027 0.5057  4 O 1.84-2.05
Li4 0.3325 0.3325 0.5987  4 O 1.98-2.08
Ti1 0.3364 0.8389 0.7857  6 O 1.97-2.09
Ti2 0.8389 0.3364 0.7857  6 O 1.97-2.09
Ti3 0.1736 0.1736 0.2799  6 O 1.93-2.13
V1 0.8261 0.8261 0.7879  6 O 2.07-2.13
V2 0.1854 0.6518 0.2888  6 O 2.03-2.19
V3 0.6518 0.1854 0.2888  6 O 2.03-2.19
W1 0.6698 0.6698 0.5108  6 O 1.92-2.10
W2 0.3393 0.3393 0.0125  6 O 2.05-2.22
O1 0.3368 0.8361 0.4050  1 Li 1.99, 1 W 2.03, 1 V 2.12, 1 Ti 2.13
O2 0.5224 0.5224 0.6573  1 Li 2.08, 1 W 2.08, 2 Ti 2.09
O3 0.6506 0.6506 0.8942  2 Ti 1.97, 1 Li 2.05, 1 V 2.08
O4 0.0053 0.0053 0.6917  1 Li 1.84, 2 Ti 1.97
O5 0.0072 0.0072 0.1977  1 Li 1.85, 1 Ti 1.93, 2 V 2.04
O6 0.8361 0.3368 0.4050  1 Li 1.99, 1 W 2.03, 1 V 2.12, 1 Ti 2.13
O7 0.5073 0.9612 0.6555  1 Ti 1.98, 1 Li 2.00, 1 W 2.10, 1 V 2.13
O8 0.9612 0.5073 0.6555  1 Ti 1.98, 1 Li 2.00, 1 W 2.10, 1 V 2.13
O9 0.1630 0.1630 0.8915  2 Ti 1.99, 1 Li 2.08, 1 W 2.22
O10 0.8300 0.8300 0.4110  1 W 1.92, 1 Li 2.05
O11 0.0381 0.4743 0.1575  1 Ti 1.96, 1 Li 2.02, 1 W 2.11, 1 V 2.16
O12 0.4743 0.0381 0.1575  1 Ti 1.96, 1 Li 2.02, 1 W 2.11, 1 V 2.16
O13 0.3194 0.3194 0.3990  1 Ti 1.95, 1 Li 1.98, 2 V 2.04
O14 0.1699 0.6746 0.9005  1 Li 2.01, 1 Ti 2.04, 1 W 2.05, 1 V 2.12
O15 0.4857 0.4857 0.1555  1 Li 1.93, 2 V 2.03, 1 W 2.11
O16 0.6746 0.1699 0.9005  1 Li 2.01, 1 Ti 2.04, 1 W 2.05, 1 V 2.12